Below is a relaxed TlCoC4O4 crystal, with properties calculated at the PBE with a Hubbard U level.

Properties
E_tot (eV/atom): -6.95
Energy relative to the elements (eV/atom): -0.773
Density (g/cm3): 3.29
Largest piezoelectric modulus (C/m2): 0.06

```
data_TlCoC4O4
_space_group_name_H-M_alt 'P 21 3'
_space_group_IT_number 198
_space_group_name_Hall 'P 2ac 2ab 3'
_cell_length_a 9.119
_cell_length_b 9.119
_cell_length_c 9.119
_cell_angle_alpha 90.00
_cell_angle_beta 90.00
_cell_angle_gamma 90.00
loop_
_atom_site_label
_atom_site_type_symbol
_atom_site_fract_x
_atom_site_fract_y
_atom_site_fract_z
Tl1 Tl 0.190 0.310 0.690
Co1 Co 0.198 0.698 0.802
C1 C 0.087 0.587 0.913
C2 C 0.115 0.346 0.313
O1 O 0.011 0.869 0.182
O2 O 0.013 0.513 0.987
```

***

Below is a relaxed CrH12C8F8 crystal, with properties calculated at the PBE with a Hubbard U level.

Properties
E_tot (eV/atom): -4.16
Energy relative to the elements (eV/atom): 0.450
Density (g/cm3): 2.06

```
data_CrH12C8F8
_space_group_name_H-M_alt 'F m -3 m'
_space_group_IT_number 225
_space_group_name_Hall '-F 4 2 3'
_cell_length_a 10.020
_cell_length_b 10.020
_cell_length_c 10.020
_cell_angle_alpha 90.00
_cell_angle_beta 90.00
_cell_angle_gamma 90.00
loop_
_atom_site_label
_atom_site_type_symbol
_atom_site_fract_x
_atom_site_fract_y
_atom_site_fract_z
Cr1 Cr 0.000 0.000 0.000
H1 H 0.000 0.132 0.132
C1 C 0.000 0.000 0.199
C2 C 0.250 0.250 0.250
F1 F 0.173 0.173 0.327
```

***

Below is a relaxed CrHC7NO5F2 crystal, with properties calculated at the PBE with a Hubbard U level.

Properties
E_tot (eV/atom): -7.15
Energy relative to the elements (eV/atom): -0.782
Density (g/cm3): 1.56

```
data_CrHC7NO5F2
_space_group_name_H-M_alt 'P -1'
_space_group_IT_number 2
_cell_length_a 7.003
_cell_length_b 8.763
_cell_length_c 10.138
_cell_angle_alpha 92.86
_cell_angle_beta 109.72
_cell_angle_gamma 99.15
loop_
_space_group_symop_operation_xyz
'x,y,z'
'-x,-y,-z'
loop_
_atom_site_label
_atom_site_type_symbol
_atom_site_fract_x
_atom_site_fract_y
_atom_site_fract_z
Cr1 Cr 0.109 0.179 0.278
H1 H 0.415 0.305 0.826
C1 C 0.038 0.037 0.762
C2 C 0.072 0.774 0.897
C3 C 0.074 0.763 0.632
C4 C 0.252 0.388 0.309
C5 C 0.258 0.314 0.820
C6 C 0.290 0.142 0.458
C7 C 0.297 0.127 0.191
N1 N 0.125 0.169 0.788
O1 O 0.181 0.742 0.002
O2 O 0.183 0.727 0.576
O3 O 0.342 0.514 0.323
O4 O 0.398 0.123 0.568
O5 O 0.414 0.100 0.140
F1 F 0.181 0.410 0.720
F2 F 0.267 0.383 0.948
```

***

Below is a relaxed Li12Cr3FeP4C4O28 crystal, with properties calculated at the PBE with a Hubbard U level.

Properties
E_tot (eV/atom): -6.80
Energy relative to the elements (eV/atom): -2.374
Density (g/cm3): 2.72

```
data_Li12Cr3FeP4C4O28
_space_group_name_H-M_alt 'P 1 m 1'
_space_group_IT_number 6
_cell_length_a 8.650
_cell_length_b 6.470
_cell_length_c 10.028
_cell_angle_alpha 90.00
_cell_angle_beta 94.39
_cell_angle_gamma 90.00
loop_
_space_group_symop_operation_xyz
'x,y,z'
'x,-y,z'
loop_
_atom_site_label
_atom_site_type_symbol
_atom_site_fract_x
_atom_site_fract_y
_atom_site_fract_z
Li1 Li 0.000 0.000 0.000
Li2 Li 0.000 0.000 0.500
Li3 Li 0.176 0.226 0.255
Li4 Li 0.177 0.226 0.756
Li5 Li 0.629 0.274 0.005
Li6 Li 0.629 0.275 0.506
Li7 Li 0.806 0.500 0.260
Li8 Li 0.808 0.500 0.763
Cr1 Cr 0.237 0.500 0.488
Cr2 Cr 0.567 0.000 0.274
Cr3 Cr 0.568 0.000 0.774
Fe1 Fe 0.237 0.500 0.986
P1 P 0.314 0.000 0.021
P2 P 0.314 0.000 0.521
P3 P 0.489 0.500 0.240
P4 P 0.492 0.500 0.739
C1 C 0.871 0.000 0.234
C2 C 0.871 0.000 0.734
C3 C 0.934 0.500 0.527
C4 C 0.937 0.500 0.030
O1 O 0.013 0.000 0.198
O2 O 0.013 0.000 0.698
O3 O 0.049 0.500 0.125
O4 O 0.049 0.500 0.620
O5 O 0.215 0.186 0.466
O6 O 0.215 0.187 0.965
O7 O 0.323 0.000 0.176
O8 O 0.324 0.000 0.677
O9 O 0.325 0.500 0.290
O10 O 0.325 0.500 0.785
O11 O 0.474 0.500 0.083
O12 O 0.480 0.000 0.474
O13 O 0.480 0.000 0.974
O14 O 0.483 0.500 0.584
O15 O 0.590 0.314 0.293
O16 O 0.591 0.314 0.796
O17 O 0.756 0.000 0.141
O18 O 0.756 0.000 0.641
O19 O 0.792 0.500 0.564
O20 O 0.793 0.500 0.060
O21 O 0.841 0.000 0.358
O22 O 0.842 0.000 0.858
O23 O 0.963 0.500 0.404
O24 O 0.973 0.500 0.907
```

***

Below is a relaxed Li12CrFe3P4C4O28 crystal, with properties calculated at the PBE with a Hubbard U level.

Properties
E_tot (eV/atom): -6.72
Energy relative to the elements (eV/atom): -2.349
Density (g/cm3): 2.77

```
data_Li12CrFe3P4C4O28
_space_group_name_H-M_alt 'P 1 m 1'
_space_group_IT_number 6
_cell_length_a 8.555
_cell_length_b 6.502
_cell_length_c 9.981
_cell_angle_alpha 90.00
_cell_angle_beta 94.73
_cell_angle_gamma 90.00
loop_
_space_group_symop_operation_xyz
'x,y,z'
'x,-y,z'
loop_
_atom_site_label
_atom_site_type_symbol
_atom_site_fract_x
_atom_site_fract_y
_atom_site_fract_z
Li1 Li 0.000 0.000 0.000
Li2 Li 0.001 0.000 0.499
Li3 Li 0.181 0.226 0.257
Li4 Li 0.182 0.226 0.755
Li5 Li 0.633 0.275 0.003
Li6 Li 0.633 0.275 0.503
Li7 Li 0.812 0.500 0.759
Li8 Li 0.813 0.500 0.260
Cr1 Cr 0.242 0.500 0.987
Fe1 Fe 0.242 0.500 0.486
Fe2 Fe 0.572 0.000 0.773
Fe3 Fe 0.573 0.000 0.273
P1 P 0.319 0.000 0.521
P2 P 0.320 0.000 0.021
P3 P 0.495 0.500 0.739
P4 P 0.497 0.500 0.239
C1 C 0.873 0.000 0.231
C2 C 0.873 0.000 0.732
C3 C 0.940 0.500 0.027
C4 C 0.943 0.500 0.528
O1 O 0.018 0.000 0.202
O2 O 0.018 0.000 0.702
O3 O 0.054 0.500 0.122
O4 O 0.055 0.500 0.624
O5 O 0.218 0.187 0.467
O6 O 0.219 0.186 0.968
O7 O 0.329 0.500 0.788
O8 O 0.330 0.500 0.288
O9 O 0.335 0.000 0.678
O10 O 0.336 0.000 0.178
O11 O 0.480 0.500 0.582
O12 O 0.485 0.000 0.471
O13 O 0.486 0.000 0.970
O14 O 0.486 0.500 0.083
O15 O 0.596 0.313 0.792
O16 O 0.597 0.313 0.295
O17 O 0.760 0.000 0.135
O18 O 0.760 0.000 0.635
O19 O 0.795 0.500 0.060
O20 O 0.797 0.500 0.558
O21 O 0.836 0.000 0.355
O22 O 0.836 0.000 0.855
O23 O 0.971 0.500 0.903
O24 O 0.978 0.500 0.404
```

***

Below is a relaxed CrFe4P2C18O18 crystal, with properties calculated at the PBE with a Hubbard U level.

Properties
E_tot (eV/atom): -7.13
Energy relative to the elements (eV/atom): -0.479
Density (g/cm3): 1.86

```
data_CrFe4P2C18O18
_space_group_name_H-M_alt 'P 1 21/c 1'
_space_group_IT_number 14
_cell_length_a 9.389
_cell_length_b 23.009
_cell_length_c 14.994
_cell_angle_alpha 90.00
_cell_angle_beta 111.62
_cell_angle_gamma 90.00
loop_
_space_group_symop_operation_xyz
'x,y,z'
'-x,-y,-z'
'-x,y+1/2,-z+1/2'
'x,-y+1/2,z+1/2'
loop_
_atom_site_label
_atom_site_type_symbol
_atom_site_fract_x
_atom_site_fract_y
_atom_site_fract_z
Cr1 Cr 0.079 0.024 0.266
Fe1 Fe 0.160 0.657 0.701
Fe2 Fe 0.256 0.641 0.887
Fe3 Fe 0.442 0.603 0.799
Fe4 Fe 0.495 0.718 0.349
P1 P 0.208 0.571 0.774
P2 P 0.374 0.698 0.825
C1 C 0.007 0.600 0.277
C2 C 0.032 0.152 0.802
C3 C 0.049 0.006 0.864
C4 C 0.103 0.502 0.205
C5 C 0.122 0.566 0.944
C6 C 0.124 0.693 0.903
C7 C 0.137 0.628 0.585
C8 C 0.147 0.732 0.660
C9 C 0.154 0.554 0.869
C10 C 0.233 0.046 0.209
C11 C 0.316 0.206 0.066
C12 C 0.370 0.134 0.644
C13 C 0.401 0.644 0.004
C14 C 0.405 0.655 0.282
C15 C 0.418 0.706 0.442
C16 C 0.422 0.239 0.238
C17 C 0.472 0.584 0.690
C18 C 0.499 0.536 0.865
O1 O 0.048 0.731 0.909
O2 O 0.059 0.645 0.302
O3 O 0.085 0.571 0.012
O4 O 0.123 0.608 0.512
O5 O 0.125 0.722 0.130
O6 O 0.127 0.021 0.940
O7 O 0.156 0.145 0.805
O8 O 0.189 0.053 0.381
O9 O 0.192 0.197 0.013
O10 O 0.211 0.014 0.695
O11 O 0.245 0.148 0.606
O12 O 0.310 0.058 0.168
O13 O 0.350 0.613 0.239
O14 O 0.363 0.248 0.791
O15 O 0.372 0.698 0.503
O16 O 0.468 0.509 0.098
O17 O 0.495 0.572 0.622
O18 O 0.498 0.152 0.424
```

***

Which value of E_tot does entry 2 give?
-4.16 eV/atom

***

The highest E_tot belongs to which entry?
CrH12C8F8